1.
Entry from Materials Project: an optimized crystal structure of MgMn4O7F (PBE with a Hubbard U).

abc: 4.978 5.094 5.973
angles: 79.89 85.08 83.62
Space group P1 (No. 1)
One atom of each set of equivalent atoms:
Mg1 0.000 0.000 0.000 (multiplicity 1)
Mn1 0.040 0.513 0.935 (multiplicity 1)
Mn2 0.059 0.009 0.449 (multiplicity 1)
Mn3 0.521 0.012 0.726 (multiplicity 1)
Mn4 0.521 0.496 0.232 (multiplicity 1)
O1 0.197 0.726 0.221 (multiplicity 1)
O2 0.209 0.813 0.737 (multiplicity 1)
O3 0.323 0.235 0.941 (multiplicity 1)
O4 0.353 0.234 0.467 (multiplicity 1)
O5 0.706 0.754 0.987 (multiplicity 1)
O6 0.749 0.824 0.528 (multiplicity 1)
O7 0.866 0.270 0.198 (multiplicity 1)
F1 0.824 0.242 0.731 (multiplicity 1)


2.
Entry from Materials Project: an optimized crystal structure of La2VReO6 (PBE with a Hubbard U).

abc: 8.014 8.014 8.014
angles: 90.00 90.00 90.00
Space group Fm-3m (No. 225)
One atom of each set of equivalent atoms:
La1 0.250 0.250 0.250 (multiplicity 8)
V1 0.000 0.000 0.000 (multiplicity 4)
Re1 0.000 0.000 0.500 (multiplicity 4)
O1 0.000 0.000 0.251 (multiplicity 24)


Number 1: formation energy from the elements -2042 meV/atom. Number 2: formation energy from the elements -2658 meV/atom.